No. 1
{"formula": "CuSiO4F6", "functional": "PBE", "state": "relaxed", "cell": [[5.126, 0.000, 0.000], [0.000, 8.739, 0.000], [-0.828, 0.000, 6.670]], "species": ["Cu", "Cu", "Si", "Si", "O", "O", "O", "O", "O", "O", "O", "O", "F", "F", "F", "F", "F", "F", "F", "F", "F", "F", "F", "F"], "frac_coords": [[0.000, 0.000, 0.000], [0.000, 0.500, 0.500], [0.500, 0.000, 0.500], [0.500, 0.500, 0.000], [0.120, 0.161, 0.874], [0.120, 0.339, 0.374], [0.247, 0.623, 0.416], [0.247, 0.877, 0.916], [0.753, 0.123, 0.084], [0.753, 0.377, 0.584], [0.880, 0.661, 0.626], [0.880, 0.839, 0.126], [0.252, 0.623, 0.057], [0.252, 0.877, 0.557], [0.309, 0.051, 0.286], [0.309, 0.449, 0.786], [0.368, 0.145, 0.627], [0.368, 0.355, 0.127], [0.632, 0.645, 0.873], [0.632, 0.855, 0.373], [0.691, 0.551, 0.214], [0.691, 0.949, 0.714], [0.748, 0.123, 0.443], [0.748, 0.377, 0.943]], "sg": "P2_1/c, No. 14", "ef_ev_per_atom": -1.32, "density_kg_m3": 2997}

=====

No. 2
{"formula": "Sr3Cu2O4F4", "functional": "PBE", "state": "relaxed", "cell": [[-1.905, 1.905, 11.690], [1.905, -1.905, 11.690], [1.905, 1.905, -11.690]], "species": ["Sr", "Sr", "Sr", "Cu", "Cu", "O", "O", "O", "O", "F", "F", "F", "F"], "frac_coords": [[0.000, 0.000, 0.000], [0.172, 0.172, 0.000], [0.828, 0.828, 0.000], [0.410, 0.410, 0.000], [0.590, 0.590, 0.000], [0.092, 0.592, 0.500], [0.408, 0.908, 0.500], [0.586, 0.086, 0.500], [0.914, 0.414, 0.500], [0.321, 0.321, 0.000], [0.500, 0.500, 0.000], [0.679, 0.679, 0.000], [0.750, 0.250, 0.500]], "sg": "I-4m2, No. 119", "ef_ev_per_atom": -2.58, "density_kg_m3": 5185}

=====

No. 3
{"formula": "ZrCuO4F6", "functional": "PBE", "state": "relaxed", "cell": [[5.466, 0.000, 0.000], [0.000, 8.834, 0.000], [-0.739, 0.000, 7.270]], "species": ["Zr", "Zr", "Cu", "Cu", "O", "O", "O", "O", "O", "O", "O", "O", "F", "F", "F", "F", "F", "F", "F", "F", "F", "F", "F", "F"], "frac_coords": [[0.000, 0.000, 0.000], [0.000, 0.500, 0.500], [0.500, 0.000, 0.500], [0.500, 0.500, 0.000], [0.258, 0.113, 0.579], [0.258, 0.387, 0.079], [0.386, 0.666, 0.107], [0.386, 0.834, 0.607], [0.614, 0.166, 0.393], [0.614, 0.334, 0.893], [0.742, 0.613, 0.921], [0.742, 0.887, 0.421], [0.190, 0.648, 0.352], [0.190, 0.852, 0.852], [0.229, 0.536, 0.731], [0.229, 0.964, 0.231], [0.235, 0.170, 0.929], [0.235, 0.330, 0.429], [0.765, 0.670, 0.571], [0.765, 0.830, 0.071], [0.771, 0.036, 0.769], [0.771, 0.464, 0.269], [0.810, 0.148, 0.148], [0.810, 0.352, 0.648]], "sg": "P2_1/c, No. 14", "ef_ev_per_atom": -1.54, "density_kg_m3": 3148}

=====

No. 4
{"formula": "Zr2Cu3O16F14", "functional": "PBE", "state": "relaxed", "cell": [[10.335, 0.000, 0.000], [0.000, 11.556, 0.000], [-0.165, 0.000, 9.975]], "species": ["Zr", "Zr", "Zr", "Zr", "Cu", "Cu", "Cu", "Cu", "Cu", "Cu", "O", "O", "O", "O", "O", "O", "O", "O", "O", "O", "O", "O", "O", "O", "O", "O", "O", "O", "O", "O", "O", "O", "O", "O", "O", "O", "O", "O", "O", "O", "O", "O", "F", "F", "F", "F", "F", "F", "F", "F", "F", "F", "F", "F", "F", "F", "F", "F", "F", "F", "F", "F", "F", "F", "F", "F", "F", "F", "F", "F"], "frac_coords": [[0.162, 0.048, 0.034], [0.162, 0.452, 0.534], [0.838, 0.548, 0.466], [0.838, 0.952, 0.966], [0.000, 0.000, 0.500], [0.000, 0.500, 0.000], [0.454, 0.120, 0.265], [0.454, 0.380, 0.765], [0.546, 0.620, 0.235], [0.546, 0.880, 0.735], [0.025, 0.593, 0.151], [0.025, 0.907, 0.651], [0.069, 0.092, 0.621], [0.069, 0.408, 0.121], [0.254, 0.570, 0.922], [0.254, 0.930, 0.422], [0.351, 0.511, 0.936], [0.351, 0.989, 0.436], [0.373, 0.663, 0.263], [0.373, 0.837, 0.763], [0.402, 0.162, 0.686], [0.402, 0.338, 0.186], [0.463, 0.104, 0.769], [0.463, 0.396, 0.269], [0.499, 0.182, 0.415], [0.499, 0.318, 0.915], [0.501, 0.682, 0.085], [0.501, 0.818, 0.585], [0.537, 0.604, 0.731], [0.537, 0.896, 0.231], [0.598, 0.662, 0.814], [0.598, 0.838, 0.314], [0.627, 0.163, 0.237], [0.627, 0.337, 0.737], [0.649, 0.011, 0.564], [0.649, 0.489, 0.064], [0.746, 0.070, 0.578], [0.746, 0.430, 0.078], [0.931, 0.592, 0.879], [0.931, 0.908, 0.379], [0.975, 0.093, 0.349], [0.975, 0.407, 0.849], [0.031, 0.592, 0.450], [0.031, 0.908, 0.950], [0.095, 0.146, 0.310], [0.095, 0.354, 0.810], [0.174, 0.570, 0.676], [0.174, 0.930, 0.176], [0.194, 0.216, 0.049], [0.194, 0.284, 0.549], [0.234, 0.028, 0.858], [0.234, 0.472, 0.358], [0.362, 0.684, 0.403], [0.362, 0.816, 0.903], [0.370, 0.061, 0.118], [0.370, 0.439, 0.618], [0.630, 0.561, 0.382], [0.630, 0.939, 0.882], [0.638, 0.184, 0.097], [0.638, 0.316, 0.597], [0.766, 0.528, 0.642], [0.766, 0.972, 0.142], [0.806, 0.716, 0.451], [0.806, 0.784, 0.951], [0.826, 0.070, 0.824], [0.826, 0.430, 0.324], [0.905, 0.646, 0.190], [0.905, 0.854, 0.690], [0.969, 0.092, 0.050], [0.969, 0.408, 0.550]], "e_above_lowest_polymorph_ev_per_atom": 0.000, "sg": "P2_1/c, No. 14", "ef_ev_per_atom": -1.16, "density_kg_m3": 2495}

=====

No. 5
{"formula": "Zr2Cu3O16F14", "functional": "PBE", "state": "relaxed", "cell": [[9.344, 0.000, 0.000], [0.000, 10.533, 0.000], [-1.318, 0.000, 10.359]], "species": ["Zr", "Zr", "Zr", "Zr", "Cu", "Cu", "Cu", "Cu", "Cu", "Cu", "O", "O", "O", "O", "O", "O", "O", "O", "O", "O", "O", "O", "O", "O", "O", "O", "O", "O", "O", "O", "O", "O", "O", "O", "O", "O", "O", "O", "O", "O", "O", "O", "F", "F", "F", "F", "F", "F", "F", "F", "F", "F", "F", "F", "F", "F", "F", "F", "F", "F", "F", "F", "F", "F", "F", "F", "F", "F", "F", "F"], "frac_coords": [[0.174, 0.031, 0.454], [0.174, 0.469, 0.954], [0.826, 0.531, 0.046], [0.826, 0.969, 0.546], [0.000, 0.000, 0.000], [0.000, 0.500, 0.500], [0.443, 0.610, 0.162], [0.443, 0.890, 0.662], [0.557, 0.110, 0.338], [0.557, 0.390, 0.838], [0.020, 0.640, 0.379], [0.020, 0.860, 0.879], [0.142, 0.115, 0.916], [0.142, 0.385, 0.416], [0.171, 0.556, 0.604], [0.171, 0.944, 0.104], [0.322, 0.049, 0.958], [0.322, 0.451, 0.458], [0.347, 0.631, 0.291], [0.347, 0.869, 0.791], [0.412, 0.129, 0.994], [0.412, 0.371, 0.494], [0.442, 0.206, 0.747], [0.442, 0.294, 0.247], [0.475, 0.618, 0.769], [0.475, 0.882, 0.269], [0.525, 0.118, 0.731], [0.525, 0.382, 0.231], [0.558, 0.706, 0.753], [0.558, 0.794, 0.253], [0.588, 0.629, 0.506], [0.588, 0.871, 0.006], [0.653, 0.131, 0.209], [0.653, 0.369, 0.709], [0.678, 0.549, 0.542], [0.678, 0.951, 0.042], [0.829, 0.056, 0.896], [0.829, 0.444, 0.396], [0.858, 0.615, 0.584], [0.858, 0.885, 0.084], [0.980, 0.140, 0.121], [0.980, 0.360, 0.621], [0.030, 0.609, 0.016], [0.030, 0.891, 0.516], [0.133, 0.145, 0.290], [0.133, 0.355, 0.790], [0.151, 0.597, 0.801], [0.151, 0.903, 0.301], [0.211, 0.229, 0.525], [0.211, 0.271, 0.025], [0.238, 0.035, 0.650], [0.238, 0.465, 0.150], [0.319, 0.642, 0.007], [0.319, 0.858, 0.507], [0.393, 0.078, 0.419], [0.393, 0.422, 0.919], [0.607, 0.578, 0.081], [0.607, 0.922, 0.581], [0.681, 0.142, 0.493], [0.681, 0.358, 0.993], [0.762, 0.535, 0.850], [0.762, 0.965, 0.350], [0.789, 0.729, 0.975], [0.789, 0.771, 0.475], [0.849, 0.097, 0.699], [0.849, 0.403, 0.199], [0.867, 0.645, 0.210], [0.867, 0.855, 0.710], [0.970, 0.109, 0.484], [0.970, 0.391, 0.984]], "e_above_lowest_polymorph_ev_per_atom": 0.089, "sg": "P2_1/c, No. 14", "ef_ev_per_atom": -1.07, "density_kg_m3": 2916}

=====

No. 6
{"formula": "Cu3PF12", "functional": "PBE", "state": "relaxed", "cell": [[-3.801, 3.801, 3.801], [3.801, -3.801, 3.801], [3.801, 3.801, -3.801]], "species": ["Cu", "Cu", "Cu", "P", "F", "F", "F", "F", "F", "F", "F", "F", "F", "F", "F", "F"], "frac_coords": [[0.000, 0.500, 0.500], [0.500, 0.000, 0.500], [0.500, 0.500, 0.000], [0.000, 0.000, 0.000], [0.000, 0.214, 0.214], [0.000, 0.786, 0.786], [0.214, 0.000, 0.214], [0.214, 0.214, 0.000], [0.250, 0.500, 0.750], [0.250, 0.750, 0.500], [0.500, 0.250, 0.750], [0.500, 0.750, 0.250], [0.750, 0.250, 0.500], [0.750, 0.500, 0.250], [0.786, 0.000, 0.786], [0.786, 0.786, 0.000]], "sg": "Im-3m, No. 229", "ef_ev_per_atom": -2.16, "density_kg_m3": 3399}

=====

No. 7
{"formula": "CuPbF6", "functional": "PBE", "state": "relaxed", "cell": [[5.338, 0.000, 0.000], [2.480, 4.794, 0.000], [0.021, 2.932, 4.828]], "species": ["Cu", "Pb", "F", "F", "F", "F", "F", "F"], "frac_coords": [[0.000, 0.000, 0.000], [0.500, 0.000, 0.500], [0.126, 0.108, 0.239], [0.234, 0.120, 0.763], [0.379, 0.485, 0.258], [0.621, 0.515, 0.742], [0.766, 0.880, 0.237], [0.874, 0.892, 0.761]], "sg": "P-1, No. 2", "ef_ev_per_atom": -2.09, "density_kg_m3": 5171}

=====

No. 8
{"formula": "CuPdF6", "functional": "PBE", "state": "relaxed", "cell": [[4.944, 0.000, 0.000], [2.429, 4.358, 0.000], [2.352, 1.425, 9.210]], "species": ["Cu", "Cu", "Pd", "Pd", "F", "F", "F", "F", "F", "F", "F", "F", "F", "F", "F", "F"], "frac_coords": [[0.000, 0.000, 0.000], [0.500, 0.500, 0.500], [0.232, 0.278, 0.250], [0.768, 0.722, 0.750], [0.040, 0.350, 0.876], [0.143, 0.751, 0.624], [0.215, 0.543, 0.377], [0.255, 0.004, 0.125], [0.400, 0.705, 0.874], [0.496, 0.910, 0.373], [0.504, 0.090, 0.627], [0.600, 0.295, 0.126], [0.745, 0.996, 0.875], [0.785, 0.457, 0.623], [0.857, 0.249, 0.376], [0.960, 0.650, 0.124]], "sg": "P-1, No. 2", "ef_ev_per_atom": -1.68, "density_kg_m3": 4752}

=====

no.,electronic total energy (Ha/atom)
1,-0.157
2,-0.197
3,-0.174
4,-0.175
5,-0.172
6,-0.160
7,-0.153
8,-0.145